This record from the Materials Project database describes a geometry-optimized CaV2N4 structure. The functional is PBE-GGA.

Cell lengths 10.182, 10.182, 10.182 Å; angles 90.00, 90.00, 90.00 degrees
Element x y z (fractional)
Ca1 0.000 0.000 0.000
Ca2 0.000 0.500 0.500
Ca3 0.121 0.621 0.879
Ca4 0.121 0.879 0.379
Ca5 0.379 0.121 0.879
Ca6 0.379 0.379 0.379
Ca7 0.500 0.000 0.500
Ca8 0.500 0.500 0.000
Ca9 0.621 0.621 0.621
Ca10 0.621 0.879 0.121
Ca11 0.879 0.121 0.621
Ca12 0.879 0.379 0.121
V1 0.112 0.213 0.360
V2 0.112 0.287 0.860
V3 0.140 0.612 0.213
V4 0.140 0.888 0.713
V5 0.213 0.140 0.612
V6 0.213 0.360 0.112
V7 0.287 0.640 0.612
V8 0.287 0.860 0.112
V9 0.360 0.112 0.213
V10 0.360 0.388 0.713
V11 0.388 0.713 0.360
V12 0.388 0.787 0.860
V13 0.612 0.213 0.140
V14 0.612 0.287 0.640
V15 0.640 0.612 0.287
V16 0.640 0.888 0.787
V17 0.713 0.140 0.888
V18 0.713 0.360 0.388
V19 0.787 0.640 0.888
V20 0.787 0.860 0.388
V21 0.860 0.112 0.287
V22 0.860 0.388 0.787
V23 0.888 0.713 0.140
V24 0.888 0.787 0.640
N1 0.030 0.074 0.272
N2 0.030 0.426 0.772
N3 0.074 0.228 0.530
N4 0.074 0.272 0.030
N5 0.127 0.721 0.652
N6 0.127 0.779 0.152
N7 0.152 0.127 0.779
N8 0.152 0.373 0.279
N9 0.221 0.652 0.373
N10 0.221 0.848 0.873
N11 0.228 0.530 0.074
N12 0.228 0.970 0.574
N13 0.272 0.030 0.074
N14 0.272 0.470 0.574
N15 0.279 0.152 0.373
N16 0.279 0.348 0.873
N17 0.348 0.627 0.779
N18 0.348 0.873 0.279
N19 0.373 0.221 0.652
N20 0.373 0.279 0.152
N21 0.426 0.728 0.530
N22 0.426 0.772 0.030
N23 0.470 0.574 0.272
N24 0.470 0.926 0.772
N25 0.530 0.074 0.228
N26 0.530 0.426 0.728
N27 0.574 0.228 0.970
N28 0.574 0.272 0.470
N29 0.627 0.721 0.848
N30 0.627 0.779 0.348
N31 0.652 0.127 0.721
N32 0.652 0.373 0.221
N33 0.721 0.652 0.127
N34 0.721 0.848 0.627
N35 0.728 0.530 0.426
N36 0.728 0.970 0.926
N37 0.772 0.030 0.426
N38 0.772 0.470 0.926
N39 0.779 0.152 0.127
N40 0.779 0.348 0.627
N41 0.848 0.627 0.721
N42 0.848 0.873 0.221
N43 0.873 0.221 0.848
N44 0.873 0.279 0.348
N45 0.926 0.728 0.970
N46 0.926 0.772 0.470
N47 0.970 0.574 0.228
N48 0.970 0.926 0.728

Values from the calculation:
The total magnetization comes out at 0.00 μB/atom. Its energy relative to the elements is -1.06 eV per atom. Its space-group type is Pa-3.



This record from the Materials Project database describes a geometry-optimized Tl7Sb2 structure. The functional is PBE-GGA.

Cell lengths 10.363, 10.363, 10.363 Å; angles 109.47, 109.47, 109.47 degrees
Element x y z (fractional)
Tl1 0.000 0.000 0.000
Tl2 0.000 0.000 0.336
Tl3 0.000 0.000 0.664
Tl4 0.000 0.336 0.000
Tl5 0.000 0.350 0.650
Tl6 0.000 0.650 0.350
Tl7 0.000 0.664 0.000
Tl8 0.300 0.650 0.650
Tl9 0.336 0.000 0.000
Tl10 0.336 0.336 0.336
Tl11 0.350 0.000 0.650
Tl12 0.350 0.350 0.700
Tl13 0.350 0.650 0.000
Tl14 0.350 0.700 0.350
Tl15 0.650 0.000 0.350
Tl16 0.650 0.300 0.650
Tl17 0.650 0.350 0.000
Tl18 0.650 0.650 0.300
Tl19 0.664 0.000 0.000
Tl20 0.664 0.664 0.664
Tl21 0.700 0.350 0.350
Sb1 0.000 0.311 0.311
Sb2 0.000 0.689 0.689
Sb3 0.311 0.000 0.311
Sb4 0.311 0.311 0.000
Sb5 0.689 0.000 0.689
Sb6 0.689 0.689 0.000

Values from the calculation:
Its energy relative to the elements is -0.06 eV per atom. Its space-group type is Im-3m.



This record from the Materials Project database describes a geometry-optimized Zn2InN2 structure. The functional is PBE-GGA.

Cell lengths 3.494, 3.494, 6.420 Å; angles 90.10, 90.10, 60.01 degrees
Element x y z (fractional)
Zn1 0.167 0.167 0.357
Zn2 0.833 0.833 0.643
In1 0.500 0.500 0.000
N1 0.167 0.167 0.720
N2 0.833 0.833 0.280

Values from the calculation:
The total magnetization comes out at 0.00 μB/atom. Its energy relative to the elements is 0.26 eV per atom. Its space-group type is C2/m.



This record from the Materials Project database describes a geometry-optimized CaNb4O14 structure. The functional is PBE-GGA.

Cell lengths 7.584, 7.584, 7.584 Å; angles 59.16, 59.16, 59.16 degrees
Element x y z (fractional)
Ca1 0.000 0.000 0.000
Nb1 0.000 0.500 0.500
Nb2 0.500 0.000 0.500
Nb3 0.500 0.500 0.000
Nb4 0.500 0.500 0.500
O1 0.133 0.133 0.133
O2 0.183 0.183 0.579
O3 0.183 0.579 0.183
O4 0.189 0.559 0.559
O5 0.421 0.817 0.817
O6 0.441 0.441 0.811
O7 0.441 0.811 0.441
O8 0.559 0.189 0.559
O9 0.559 0.559 0.189
O10 0.579 0.183 0.183
O11 0.811 0.441 0.441
O12 0.817 0.421 0.817
O13 0.817 0.817 0.421
O14 0.867 0.867 0.867

Values from the calculation:
The total magnetization comes out at 0.32 μB/atom. Its energy relative to the elements is -2.29 eV per atom. Its space-group type is R-3m.



This record from the Materials Project database describes a geometry-optimized Dy2Fe4Si9 structure. The functional is PBE-GGA.

Cell lengths 3.940, 3.940, 16.037 Å; angles 90.00, 90.00, 120.00 degrees
Element x y z (fractional)
Dy1 0.333 0.667 0.242
Dy2 0.667 0.333 0.758
Fe1 0.333 0.667 0.589
Fe2 0.333 0.667 0.899
Fe3 0.667 0.333 0.101
Fe4 0.667 0.333 0.411
Si1 0.000 0.000 0.126
Si2 0.000 0.000 0.350
Si3 0.000 0.000 0.500
Si4 0.000 0.000 0.650
Si5 0.000 0.000 0.874
Si6 0.333 0.667 0.043
Si7 0.333 0.667 0.435
Si8 0.667 0.333 0.565
Si9 0.667 0.333 0.957

Values from the calculation:
The total magnetization comes out at 0.00 μB/atom. Its energy relative to the elements is -0.30 eV per atom. Its space-group type is P-3m1.



This record from the Materials Project database describes a geometry-optimized Na7TaTi3Si6O24 structure. The functional is PBE-GGA.

Cell lengths 9.000, 9.002, 22.067 Å; angles 90.07, 90.10, 119.98 degrees
Element x y z (fractional)
Na1 0.000 0.000 0.000
Na2 0.002 0.639 0.499
Na3 0.261 0.268 0.499
Na4 0.270 0.646 0.999
Na5 0.298 0.599 0.665
Na6 0.298 0.962 0.916
Na7 0.298 0.972 0.419
Na8 0.336 0.668 0.333
Na9 0.339 0.312 0.833
Na10 0.603 0.313 0.333
Na11 0.622 0.630 0.245
Na12 0.624 0.269 0.999
Na13 0.631 0.009 0.499
Na14 0.640 0.648 0.753
Na15 0.670 0.344 0.666
Na16 0.672 0.974 0.163
Na17 0.924 0.601 0.163
Na18 0.927 0.973 0.665
Na19 0.956 0.933 0.333
Na20 0.965 0.305 0.583
Na21 0.975 0.306 0.086
Ta1 0.298 0.968 0.771
Ta2 0.299 0.973 0.268
Ta3 0.964 0.306 0.935
Ti1 0.297 0.972 0.062
Ti2 0.298 0.971 0.563
Ti3 0.626 0.634 0.102
Ti4 0.631 0.638 0.601
Ti5 0.632 0.639 0.396
Ti6 0.637 0.645 0.893
Ti7 0.963 0.304 0.729
Ti8 0.965 0.306 0.435
Ti9 0.969 0.306 0.227
Si1 0.008 0.682 0.663
Si2 0.008 0.975 0.163
Si3 0.252 0.306 0.332
Si4 0.256 0.596 0.831
Si5 0.298 0.678 0.163
Si6 0.299 0.263 0.664
Si7 0.342 0.638 0.498
Si8 0.346 0.351 0.997
Si9 0.589 0.265 0.163
Si10 0.589 0.972 0.663
Si11 0.630 0.923 0.999
Si12 0.631 0.349 0.498
Si13 0.677 0.310 0.830
Si14 0.679 0.017 0.331
Si15 0.918 0.640 0.999
Si16 0.920 0.928 0.498
Si17 0.959 0.011 0.830
Si18 0.963 0.591 0.331
O1 0.104 0.812 0.720
O2 0.104 0.946 0.223
O3 0.110 0.945 0.502
O4 0.111 0.808 0.002
O5 0.121 0.495 0.170
O6 0.127 0.280 0.668
O7 0.127 0.997 0.104
O8 0.131 0.270 0.392
O9 0.131 0.773 0.604
O10 0.137 0.502 0.891
O11 0.137 0.783 0.326
O12 0.140 0.007 0.825
O13 0.152 0.466 0.493
O14 0.153 0.331 0.994
O15 0.155 0.337 0.275
O16 0.160 0.473 0.771
O17 0.267 0.137 0.605
O18 0.268 0.773 0.105
O19 0.271 0.134 0.326
O20 0.271 0.784 0.826
O21 0.322 0.158 0.004
O22 0.325 0.810 0.501
O23 0.326 0.802 0.223
O24 0.331 0.172 0.723
O25 0.434 0.606 0.557
O26 0.439 0.482 0.055
O27 0.440 0.605 0.836
O28 0.443 0.475 0.336
O29 0.459 0.160 0.502
O30 0.459 0.940 0.720
O31 0.461 0.947 0.003
O32 0.463 0.434 0.937
O33 0.465 0.669 0.438
O34 0.470 0.169 0.224
O35 0.471 0.451 0.659
O36 0.475 0.673 0.160
O37 0.485 0.137 0.826
O38 0.487 0.999 0.327
O39 0.494 0.138 0.105
O40 0.497 0.003 0.603
O41 0.596 0.795 0.942
O42 0.601 0.442 0.438
O43 0.605 0.799 0.659
O44 0.612 0.456 0.160
O45 0.650 0.474 0.835
O46 0.655 0.826 0.336
O47 0.664 0.473 0.557
O48 0.670 0.842 0.059
O49 0.766 0.141 0.391
O50 0.768 0.281 0.890
O51 0.776 0.278 0.169
O52 0.777 0.143 0.668
O53 0.791 0.825 0.836
O54 0.794 0.329 0.770
O55 0.795 0.614 0.336
O56 0.797 0.836 0.557
O57 0.798 0.107 0.272
O58 0.798 0.603 0.059
O59 0.803 0.116 0.993
O60 0.804 0.333 0.493
O61 0.819 0.666 0.659
O62 0.821 0.800 0.161
O63 0.823 0.671 0.941
O64 0.828 0.805 0.438
O65 0.931 0.471 0.272
O66 0.937 0.118 0.493
O67 0.938 0.467 0.993
O68 0.940 0.109 0.770
O69 0.984 0.142 0.169
O70 0.991 0.493 0.668
O71 0.993 0.137 0.890
O72 0.999 0.504 0.391

Values from the calculation:
The total magnetization comes out at 0.00 μB/atom. Its energy relative to the elements is -3.04 eV per atom. Its space-group type is P1.



Among the records above, which one has the lowest energy relative to the elements? Na7TaTi3Si6O24



The lowest energy relative to the elements belongs to which entry? Na7TaTi3Si6O24



Which value of energy relative to the elements does entry 6 give? -3.04 eV per atom